1.
Computed, not measured: a relaxed In3CuSe5 crystal at the PBE-GGA level of DFT.

Summary:
Its crystal system is triclinic.

Unit cell a=5.891 b=7.210 c=7.251 alpha=80.35 beta=66.39 gamma=66.11
Sites, in units of the cell vectors:
In  0.807  0.812  0.589
In  0.623  0.599  0.201
In  0.398  0.383  0.806
Cu  0.978  0.009  0.002
Se  0.057  0.270  0.117
Se  0.882  0.104  0.697
Se  0.635  0.929  0.291
Se  0.421  0.718  0.906
Se  0.248  0.476  0.490



2.
Computed, not measured: a relaxed In2CuSe4 crystal at the PBE-GGA level of DFT.

Summary:
Its crystal system is tetragonal.

Unit cell a=7.078 b=7.078 c=7.078 alpha=132.10 beta=132.10 gamma=70.07
Sites, in units of the cell vectors:
In  0.500  0.500  0.000
In  0.750  0.250  0.500
Cu  0.000  0.000  0.000
Se  0.611  0.662  0.533
Se  0.130  0.079  0.467
Se  0.921  0.389  0.051
Se  0.338  0.870  0.949



3.
Computed, not measured: a relaxed In11Cu9Se20 crystal at the PBE-GGA level of DFT.

Summary:
Its crystal system is tetragonal.

Unit cell a=11.120 b=11.120 c=11.120 alpha=106.85 beta=106.85 gamma=114.84
Sites, in units of the cell vectors:
In  0.500  0.500  0.000
In  0.595  0.187  0.793
In  0.041  0.348  0.903
In  0.813  0.606  0.408
In  0.250  0.750  0.500
In  0.000  0.000  0.000
In  0.445  0.138  0.097
In  0.198  0.405  0.592
In  0.652  0.555  0.693
In  0.394  0.802  0.207
In  0.862  0.959  0.307
Cu  0.700  0.900  0.601
Cu  0.901  0.300  0.200
Cu  0.100  0.700  0.800
Cu  0.148  0.040  0.697
Cu  0.300  0.099  0.399
Cu  0.343  0.451  0.303
Cu  0.549  0.852  0.892
Cu  0.750  0.250  0.500
Cu  0.960  0.657  0.108
Se  0.768  0.159  0.678
Se  0.971  0.561  0.280
Se  0.439  0.719  0.410
Se  0.881  0.887  0.520
Se  0.309  0.029  0.590
Se  0.168  0.960  0.880
Se  0.640  0.119  0.006
Se  0.079  0.288  0.120
Se  0.514  0.422  0.211
Se  0.367  0.360  0.480
Se  0.841  0.519  0.609
Se  0.281  0.691  0.720
Se  0.712  0.832  0.792
Se  0.578  0.788  0.092
Se  0.040  0.921  0.208
Se  0.481  0.090  0.322
Se  0.910  0.232  0.391
Se  0.212  0.303  0.789
Se  0.697  0.486  0.908
Se  0.113  0.633  0.994



4.
Computed, not measured: a relaxed TaInCu2Se4 crystal at the PBE-GGA level of DFT.

Summary:
Its crystal system is tetragonal.

Unit cell a=5.819 b=5.819 c=12.217 alpha=90.00 beta=90.00 gamma=90.00
Sites, in units of the cell vectors:
Ta  0.000  0.000  0.000
Ta  0.000  0.000  0.500
In  0.500  0.000  0.250
In  0.000  0.500  0.750
Cu  0.000  0.500  0.250
Cu  0.500  0.000  0.750
Cu  0.500  0.500  0.000
Cu  0.500  0.500  0.500
Se  0.212  0.281  0.111
Se  0.788  0.719  0.111
Se  0.281  0.788  0.889
Se  0.788  0.281  0.389
Se  0.719  0.212  0.889
Se  0.212  0.719  0.389
Se  0.719  0.788  0.611
Se  0.281  0.212  0.611



5.
Computed, not measured: a relaxed InCuTeSe crystal at the PBE-GGA level of DFT.

Summary:
Its crystal system is orthorhombic.

Unit cell a=7.475 b=7.475 c=7.475 alpha=131.97 beta=131.71 gamma=70.49
Sites, in units of the cell vectors:
In  0.383  0.133  0.250
In  0.117  0.367  0.750
Cu  0.884  0.634  0.250
Cu  0.616  0.866  0.750
Te  0.536  0.250  0.786
Te  0.964  0.750  0.714
Se  0.250  0.530  0.280
Se  0.750  0.970  0.220



6.
Computed, not measured: a relaxed ZnInCu3Se4 crystal at the PBE-GGA level of DFT.

Summary:
Its crystal system is cubic.

Unit cell a=5.858 b=5.858 c=5.858 alpha=90.00 beta=90.00 gamma=90.00
Sites, in units of the cell vectors:
Zn  0.500  0.500  0.500
In  0.000  0.000  0.000
Cu  0.000  0.500  0.000
Cu  0.000  0.000  0.500
Cu  0.500  0.000  0.000
Se  0.257  0.257  0.257
Se  0.743  0.743  0.257
Se  0.257  0.743  0.743
Se  0.743  0.257  0.743



7.
Computed, not measured: a relaxed Sm2In3Cu crystal at the PBE-GGA level of DFT.

Summary:
Its crystal system is orthorhombic.

Unit cell a=3.713 b=4.792 c=8.338 alpha=89.98 beta=90.00 gamma=90.00
Sites, in units of the cell vectors:
Sm  0.000  0.000  0.008
Sm  0.000  0.500  0.496
In  0.500  0.500  0.837
In  0.500  0.500  0.183
In  0.500  0.000  0.647
Cu  0.500  0.000  0.329



8.
Computed, not measured: a relaxed Sm2In3Cu crystal at the PBE-GGA level of DFT.

Summary:
Its crystal system is trigonal.

Unit cell a=4.752 b=4.752 c=7.590 alpha=90.00 beta=90.00 gamma=120.00
Sites, in units of the cell vectors:
Sm  0.333  0.667  0.724
Sm  0.333  0.667  0.264
In  0.000  0.000  0.484
In  0.000  0.000  0.051
In  0.667  0.333  0.935
Cu  0.667  0.333  0.542



Values of energy relative to the elements, in order: -0.7421 -0.6486 -0.6440 -0.5109 -0.4523 -0.3691 -0.4024 -0.4180, all in eV/atom.